Entry from Materials Project: a relaxed Ti2ZnCu2O8 crystal (PBE-GGA).

Cell: 6.4544 8.3981 12.0101 Å, 90.00 91.50 90.00°
With the nearest neighbours (Å) after each atom.
Sites, in units of the cell vectors:
Ti1 0.0995 0.0430 0.3415  4 O 1.79-1.88
Ti2 0.0995 0.4570 0.8415  4 O 1.79-1.88
Ti3 0.3911 0.5896 0.3636  4 O 1.77-1.93
Ti4 0.3911 0.9104 0.8636  4 O 1.77-1.93
Ti5 0.6089 0.0896 0.1364  4 O 1.77-1.93
Ti6 0.6089 0.4104 0.6364  4 O 1.77-1.93
Ti7 0.9005 0.5430 0.1585  4 O 1.79-1.88
Ti8 0.9005 0.9570 0.6585  4 O 1.79-1.88
Zn1 0.1102 0.1589 0.0505  5 O 2.01-2.11
Zn2 0.1102 0.3411 0.5505  5 O 2.01-2.11
Zn3 0.8898 0.6589 0.4495  5 O 2.01-2.11
Zn4 0.8898 0.8411 0.9495  5 O 2.01-2.11
Cu1 0.2372 0.6837 0.6244  4 O 1.83-2.00
Cu2 0.2372 0.8163 0.1244  4 O 1.83-2.00
Cu3 0.3755 0.0595 0.6281  4 O 1.85-1.90
Cu4 0.3755 0.4405 0.1281  4 O 1.85-1.90
Cu5 0.6245 0.5595 0.8719  4 O 1.85-1.90
Cu6 0.6245 0.9405 0.3719  4 O 1.85-1.90
Cu7 0.7628 0.1837 0.8756  4 O 1.83-2.00
Cu8 0.7628 0.3163 0.3756  4 O 1.83-2.00
O1 0.0288 0.2432 0.3984  1 Cu 1.84, 1 Ti 1.88
O2 0.0288 0.2568 0.8984  1 Cu 1.84, 1 Ti 1.88
O3 0.0955 0.1079 0.6144  1 Cu 1.86, 1 Ti 1.87
O4 0.0955 0.3921 0.1144  1 Cu 1.86, 1 Ti 1.87
O5 0.1193 0.0337 0.1929  1 Ti 1.79, 1 Zn 2.01
O6 0.1193 0.4663 0.6929  1 Ti 1.79, 1 Zn 2.01
O7 0.1961 0.5780 0.4765  1 Ti 1.88, 1 Cu 2.00
O8 0.1961 0.9220 0.9765  1 Ti 1.88, 1 Cu 2.00
O9 0.3083 0.6262 0.2098  2 Cu 1.90-1.95, 1 Ti 1.93
O10 0.3083 0.8738 0.7098  2 Cu 1.90-1.95, 1 Ti 1.93
O11 0.3490 0.5151 0.8974  1 Ti 1.80, 1 Cu 1.85
O12 0.3490 0.9849 0.3974  1 Ti 1.80, 1 Cu 1.85
O13 0.4166 0.2309 0.0859  1 Ti 1.81, 1 Cu 1.85
O14 0.4166 0.2691 0.5859  1 Ti 1.81, 1 Cu 1.85
O15 0.5004 0.1032 0.8585  1 Ti 1.77, 1 Cu 1.83
O16 0.5004 0.3968 0.3585  1 Ti 1.77, 1 Cu 1.83
O17 0.4996 0.6032 0.6415  1 Ti 1.77, 1 Cu 1.83
O18 0.4996 0.8968 0.1415  1 Ti 1.77, 1 Cu 1.83
O19 0.5834 0.7309 0.4141  1 Ti 1.81, 1 Cu 1.85
O20 0.5834 0.7691 0.9141  1 Ti 1.81, 1 Cu 1.85
O21 0.6510 0.0151 0.6026  1 Ti 1.80, 1 Cu 1.85
O22 0.6510 0.4849 0.1026  1 Ti 1.80, 1 Cu 1.85
O23 0.6917 0.1262 0.2902  2 Cu 1.90-1.95, 1 Ti 1.93
O24 0.6917 0.3738 0.7902  2 Cu 1.90-1.95, 1 Ti 1.93
O25 0.8039 0.0780 0.0235  1 Ti 1.88, 1 Cu 2.00
O26 0.8039 0.4220 0.5235  1 Ti 1.88, 1 Cu 2.00
O27 0.8807 0.5337 0.3071  1 Ti 1.79, 1 Zn 2.01
O28 0.8807 0.9663 0.8071  1 Ti 1.79, 1 Zn 2.01
O29 0.9045 0.6079 0.8856  1 Cu 1.86, 1 Ti 1.87
O30 0.9045 0.8921 0.3856  1 Cu 1.86, 1 Ti 1.87
O31 0.9712 0.7432 0.1016  1 Cu 1.84, 1 Ti 1.88
O32 0.9712 0.7568 0.6016  1 Cu 1.84, 1 Ti 1.88

Computed properties:
Total magnetization   0.00 μB/atom
Total energy after the MP2020 corrections   -367.888 eV for the cell shown
E_form   -2088 meV per atom

Entry from Materials Project: a relaxed AlBi3Se2ClO8 crystal (PBE-GGA).

Cell: 8.1781 9.5534 6.9927 Å, 90.00 90.00 90.00°
With the nearest neighbours (Å) after each atom.
Sites, in units of the cell vectors:
Al1 0.2500 0.2500 0.1787  4 O 1.84-1.85
Al2 0.7500 0.7500 0.8213  4 O 1.84-1.85
Bi1 0.0000 0.0000 0.5000  4 O 2.39-2.50
Bi2 0.0000 0.5000 0.5000  4 O 2.39-2.50
Bi3 0.2500 0.2500 0.6497  4 O 2.43-2.56
Bi4 0.5000 0.0000 0.5000  4 O 2.39-2.50
Bi5 0.5000 0.5000 0.5000  4 O 2.39-2.50
Bi6 0.7500 0.7500 0.3503  4 O 2.43-2.56
Se1 0.2500 0.5596 0.9542  3 O 1.71-1.78
Se2 0.2500 0.9404 0.9542  3 O 1.71-1.78
Se3 0.7500 0.0596 0.0458  3 O 1.71-1.78
Se4 0.7500 0.4404 0.0458  3 O 1.71-1.78
Cl1 0.2500 0.7500 0.4209  4 Bi 3.19, 6 O 3.43-3.47
Cl2 0.7500 0.2500 0.5791  4 Bi 3.19, 6 O 3.43-3.47
O1 0.0843 0.5803 0.8080  1 Se 1.71
O2 0.0843 0.9197 0.8080  1 Se 1.71
O3 0.2500 0.1101 0.3601  1 Al 1.84
O4 0.2500 0.1267 0.9739  1 Se 1.78, 1 Al 1.85
O5 0.2500 0.3733 0.9739  1 Se 1.78, 1 Al 1.85
O6 0.2500 0.3899 0.3601  1 Al 1.84
O7 0.4157 0.5803 0.8080  1 Se 1.71
O8 0.4157 0.9197 0.8080  1 Se 1.71
O9 0.5843 0.0803 0.1920  1 Se 1.71
O10 0.5843 0.4197 0.1920  1 Se 1.71
O11 0.7500 0.6101 0.6399  1 Al 1.84
O12 0.7500 0.6267 0.0261  1 Se 1.78, 1 Al 1.85
O13 0.7500 0.8733 0.0261  1 Se 1.78, 1 Al 1.85
O14 0.7500 0.8899 0.6399  1 Al 1.84
O15 0.9157 0.0803 0.1920  1 Se 1.71
O16 0.9157 0.4197 0.1920  1 Se 1.71

Computed properties:
Total magnetization   0.00 μB/atom
Total energy after the MP2020 corrections   -169.975 eV for the cell shown
E_form   -1410 meV per atom

Entry from Materials Project: a relaxed TmMg3 crystal (PBE-GGA).

Cell: 6.6275 6.6275 5.1730 Å, 90.00 90.00 120.00°
With the nearest neighbours (Å) after each atom.
Sites, in units of the cell vectors:
Tm1 0.3333 0.6667 0.2500  12 Mg 3.24-3.31
Tm2 0.6667 0.3333 0.7500  12 Mg 3.24-3.31
Mg1 0.1639 0.3278 0.7500  8 Mg 3.20-3.37, 4 Tm 3.24-3.31
Mg2 0.1639 0.8361 0.7500  8 Mg 3.20-3.37, 4 Tm 3.24-3.31
Mg3 0.3278 0.1639 0.2500  8 Mg 3.20-3.37, 4 Tm 3.24-3.31
Mg4 0.6722 0.8361 0.7500  8 Mg 3.20-3.37, 4 Tm 3.24-3.31
Mg5 0.8361 0.1639 0.2500  8 Mg 3.20-3.37, 4 Tm 3.24-3.31
Mg6 0.8361 0.6722 0.2500  8 Mg 3.20-3.37, 4 Tm 3.24-3.31

Computed properties:
E_form   -37 meV per atom